(w)
Density functional theory data (PBE-GGA) for Mg6MnMo after structural relaxation.

Cell lengths 4.8795, 5.9391, 10.7579 Å; angles 90.00, 90.00, 90.00 degrees
Last column: nearest neighbours and their distance in Å.
Fractional positions:
Mg 0.5000 0.2503 0.4199  8 Mg 2.97-3.04, 2 Mn 3.04-3.11, 2 Mo 3.05-3.09
Mg 0.5000 0.7497 0.4199  8 Mg 2.97-3.04, 2 Mn 3.04-3.11, 2 Mo 3.05-3.09
Mg 0.0000 0.7452 0.0877  8 Mg 2.91-3.22, 2 Mo 2.98, 2 Mn 2.99
Mg 0.0000 0.2548 0.0877  8 Mg 2.91-3.22, 2 Mo 2.98, 2 Mn 2.99
Mg 0.0000 0.0000 0.3235  10 Mg 2.95-3.19, 2 Mn 2.97
Mg 0.0000 0.5000 0.3234  10 Mg 2.92-3.22, 2 Mo 2.93
Mg 0.5000 0.7503 0.9199  8 Mg 2.97-3.04, 2 Mn 3.04-3.11, 2 Mo 3.05-3.09
Mg 0.5000 0.2497 0.9199  8 Mg 2.97-3.04, 2 Mn 3.04-3.11, 2 Mo 3.05-3.09
Mg 0.0000 0.2452 0.5877  8 Mg 2.91-3.22, 2 Mo 2.98, 2 Mn 2.99
Mg 0.0000 0.7548 0.5877  8 Mg 2.91-3.22, 2 Mo 2.98, 2 Mn 2.99
Mg 0.0000 0.5000 0.8235  10 Mg 2.95-3.19, 2 Mn 2.97
Mg 0.0000 0.0000 0.8234  10 Mg 2.92-3.22, 2 Mo 2.93
Mn 0.5000 0.0000 0.1661  10 Mg 2.97-3.11, 2 Mo 2.97
Mn 0.5000 0.5000 0.6661  10 Mg 2.97-3.11, 2 Mo 2.97
Mo 0.5000 0.5000 0.1718  10 Mg 2.93-3.09, 2 Mn 2.97
Mo 0.5000 0.0000 0.6718  10 Mg 2.93-3.09, 2 Mn 2.97

---

(x)
Density functional theory data (PBE-GGA) for Mg6MnMo after structural relaxation.

Cell lengths 4.7729, 5.9770, 10.8825 Å; angles 90.00, 90.00, 90.00 degrees
Last column: nearest neighbours and their distance in Å.
Fractional positions:
Mg 0.0000 0.7603 0.5809  1 Mn 2.85, 8 Mg 2.87-3.13, 2 Mo 3.02
Mg 0.0000 0.2397 0.5809  1 Mn 2.85, 8 Mg 2.87-3.13, 2 Mo 3.02
Mg 0.0000 0.5000 0.8303  10 Mg 2.96-3.13, 2 Mn 3.00
Mg 0.5000 0.2432 0.9213  8 Mg 2.91-3.14, 1 Mo 2.92, 2 Mn 3.06
Mg 0.5000 0.7568 0.9213  8 Mg 2.91-3.14, 1 Mo 2.92, 2 Mn 3.06
Mg 0.5000 0.5000 0.6694  10 Mg 2.96-3.14, 2 Mo 3.00
Mg 0.0000 0.2603 0.0809  1 Mn 2.85, 8 Mg 2.87-3.13, 2 Mo 3.02
Mg 0.0000 0.7397 0.0809  1 Mn 2.85, 8 Mg 2.87-3.13, 2 Mo 3.02
Mg 0.0000 0.0000 0.3303  10 Mg 2.96-3.13, 2 Mn 3.00
Mg 0.5000 0.7432 0.4213  8 Mg 2.91-3.14, 1 Mo 2.92, 2 Mn 3.06
Mg 0.5000 0.2568 0.4213  8 Mg 2.91-3.14, 1 Mo 2.92, 2 Mn 3.06
Mg 0.5000 0.0000 0.1694  10 Mg 2.96-3.14, 2 Mo 3.00
Mn 0.0000 0.0000 0.8072  2 Mo 2.71, 4 Mg 2.85-3.00
Mn 0.0000 0.5000 0.3072  2 Mo 2.71, 4 Mg 2.85-3.00
Mo 0.5000 0.0000 0.6887  2 Mn 2.71, 8 Mg 2.92-3.02
Mo 0.5000 0.5000 0.1887  2 Mn 2.71, 8 Mg 2.92-3.02

---

Which of them is the least stable? Correct choice: (w).

---

(w)
Density functional theory data (PBE-GGA) for Mg14MnNb after structural relaxation.

Values from the calculation:
crystal system = hexagonal

Cell lengths 6.3134, 6.3134, 9.9799 Å; angles 90.00, 90.00, 120.00 degrees
Last column: nearest neighbours and their distance in Å.
Fractional positions:
Mg 0.1666 0.8333 0.1250  10 Mg 3.10-3.16, 2 Mn 3.16
Mg 0.1702 0.8351 0.6250  10 Mg 3.09-3.19, 2 Nb 3.16
Mg 0.6667 0.3334 0.1250  10 Mg 3.10-3.16, 2 Mn 3.16
Mg 0.6649 0.3298 0.6250  10 Mg 3.09-3.19, 2 Nb 3.16
Mg 0.6667 0.8333 0.1250  10 Mg 3.10-3.16, 2 Mn 3.16
Mg 0.6649 0.8351 0.6250  10 Mg 3.09-3.19, 2 Nb 3.16
Mg 0.3274 0.1726 0.3756  10 Mg 3.04-3.27, 1 Nb 3.05, 1 Mn 3.06
Mg 0.3274 0.1726 0.8744  10 Mg 3.04-3.27, 1 Nb 3.05, 1 Mn 3.06
Mg 0.3274 0.6548 0.3756  10 Mg 3.04-3.27, 1 Nb 3.05, 1 Mn 3.06
Mg 0.3274 0.6548 0.8744  10 Mg 3.04-3.27, 1 Nb 3.05, 1 Mn 3.06
Mg 0.8452 0.1726 0.3756  10 Mg 3.04-3.27, 1 Nb 3.05, 1 Mn 3.06
Mg 0.8452 0.1726 0.8744  10 Mg 3.04-3.27, 1 Nb 3.05, 1 Mn 3.06
Mg 0.8333 0.6667 0.3766  12 Mg 3.09-3.16
Mg 0.8333 0.6667 0.8734  12 Mg 3.09-3.16
Mn 0.1667 0.3333 0.1250  12 Mg 3.06-3.16
Nb 0.1667 0.3333 0.6250  12 Mg 3.05-3.16

---

(x)
Density functional theory data (PBE-GGA) for Mg14MnNb after structural relaxation.

Values from the calculation:
crystal system = orthorhombic

Cell lengths 6.3345, 6.2254, 10.0265 Å; angles 90.00, 90.00, 119.43 degrees
Last column: nearest neighbours and their distance in Å.
Fractional positions:
Mg 0.1672 0.3336 0.6250  12 Mg 3.11-3.17
Mg 0.1670 0.8335 0.6250  12 Mg 3.11-3.17
Mg 0.6636 0.3342 0.1250  8 Mg 3.04-3.14, 2 Mn 3.13-3.20, 2 Nb 3.13-3.20
Mg 0.6656 0.3328 0.6250  12 Mg 3.11-3.20
Mg 0.6636 0.8294 0.1250  8 Mg 3.04-3.14, 2 Mn 3.13-3.20, 2 Nb 3.13-3.20
Mg 0.6656 0.8328 0.6250  12 Mg 3.11-3.20
Mg 0.3284 0.1625 0.3658  1 Mn 3.01, 1 Nb 3.02, 10 Mg 3.04-3.24
Mg 0.3284 0.1625 0.8842  1 Mn 3.01, 1 Nb 3.02, 10 Mg 3.04-3.24
Mg 0.3284 0.6659 0.3658  1 Mn 3.01, 1 Nb 3.02, 10 Mg 3.04-3.24
Mg 0.3284 0.6659 0.8842  1 Mn 3.01, 1 Nb 3.02, 10 Mg 3.04-3.24
Mg 0.8414 0.1707 0.3689  1 Mn 3.04, 11 Mg 3.07-3.22
Mg 0.8414 0.1707 0.8811  1 Mn 3.04, 11 Mg 3.07-3.22
Mg 0.8417 0.6709 0.3712  1 Nb 3.02, 11 Mg 3.07-3.24
Mg 0.8417 0.6709 0.8788  1 Nb 3.02, 11 Mg 3.07-3.24
Mn 0.1698 0.3349 0.1250  10 Mg 3.01-3.20, 2 Nb 3.11
Nb 0.1579 0.8289 0.1250  10 Mg 3.02-3.20, 2 Mn 3.11

---

Which of them is the least stable? Correct choice: (w).

---

(w)
Density functional theory data (PBE-GGA) for Mg6MnNb after structural relaxation.

Cell lengths 4.9352, 5.9860, 10.9824 Å; angles 90.00, 90.00, 90.00 degrees
Last column: nearest neighbours and their distance in Å.
Fractional positions:
Mg 0.5000 0.2512 0.4213  8 Mg 2.98-3.09, 2 Mn 3.06-3.20, 2 Nb 3.10-3.15
Mg 0.5000 0.7488 0.4213  8 Mg 2.98-3.09, 2 Mn 3.06-3.20, 2 Nb 3.10-3.15
Mg 0.0000 0.7471 0.0867  8 Mg 2.96-3.27, 2 Mn 3.02, 2 Nb 3.03
Mg 0.0000 0.2529 0.0867  8 Mg 2.96-3.27, 2 Mn 3.02, 2 Nb 3.03
Mg 0.0000 0.0000 0.3209  10 Mg 2.98-3.27, 2 Mn 3.01
Mg 0.0000 0.5000 0.3253  2 Nb 2.98, 10 Mg 2.99-3.25
Mg 0.5000 0.7512 0.9213  8 Mg 2.98-3.09, 2 Mn 3.06-3.20, 2 Nb 3.10-3.15
Mg 0.5000 0.2488 0.9213  8 Mg 2.98-3.09, 2 Mn 3.06-3.20, 2 Nb 3.10-3.15
Mg 0.0000 0.2471 0.5867  8 Mg 2.96-3.27, 2 Mn 3.02, 2 Nb 3.03
Mg 0.0000 0.7529 0.5867  8 Mg 2.96-3.27, 2 Mn 3.02, 2 Nb 3.03
Mg 0.0000 0.5000 0.8209  10 Mg 2.98-3.27, 2 Mn 3.01
Mg 0.0000 0.0000 0.8253  2 Nb 2.98, 10 Mg 2.99-3.25
Mn 0.5000 0.0000 0.1645  2 Nb 2.99, 10 Mg 3.01-3.20
Mn 0.5000 0.5000 0.6645  2 Nb 2.99, 10 Mg 3.01-3.20
Nb 0.5000 0.5000 0.1733  10 Mg 2.98-3.15, 2 Mn 2.99
Nb 0.5000 0.0000 0.6733  10 Mg 2.98-3.15, 2 Mn 2.99

---

(x)
Density functional theory data (PBE-GGA) for Mg6MnNb after structural relaxation.

Cell lengths 4.8273, 6.0469, 11.0655 Å; angles 90.00, 90.00, 90.00 degrees
Last column: nearest neighbours and their distance in Å.
Fractional positions:
Mg 0.0000 0.2588 0.0796  1 Mn 2.90, 8 Mg 2.92-3.17, 2 Nb 3.07
Mg 0.0000 0.7412 0.0796  1 Mn 2.90, 8 Mg 2.92-3.17, 2 Nb 3.07
Mg 0.0000 0.0000 0.3283  10 Mg 2.99-3.17, 2 Mn 3.03
Mg 0.5000 0.7424 0.4236  8 Mg 2.93-3.22, 1 Nb 2.97, 2 Mn 3.11
Mg 0.5000 0.2576 0.4236  8 Mg 2.93-3.22, 1 Nb 2.97, 2 Mn 3.11
Mg 0.5000 0.0000 0.1688  10 Mg 2.99-3.22, 2 Nb 3.03
Mg 0.0000 0.7588 0.5796  1 Mn 2.90, 8 Mg 2.92-3.17, 2 Nb 3.07
Mg 0.0000 0.2412 0.5796  1 Mn 2.90, 8 Mg 2.92-3.17, 2 Nb 3.07
Mg 0.0000 0.5000 0.8283  10 Mg 2.99-3.17, 2 Mn 3.03
Mg 0.5000 0.2424 0.9236  8 Mg 2.93-3.22, 1 Nb 2.97, 2 Mn 3.11
Mg 0.5000 0.7576 0.9236  8 Mg 2.93-3.22, 1 Nb 2.97, 2 Mn 3.11
Mg 0.5000 0.5000 0.6688  10 Mg 2.99-3.22, 2 Nb 3.03
Mn 0.0000 0.5000 0.3059  2 Nb 2.73, 4 Mg 2.90-3.03
Mn 0.0000 0.0000 0.8059  2 Nb 2.73, 4 Mg 2.90-3.03
Nb 0.5000 0.5000 0.1904  2 Mn 2.73, 4 Mg 2.97-3.03
Nb 0.5000 0.0000 0.6904  2 Mn 2.73, 4 Mg 2.97-3.03

---

Which of them is the least stable? Correct choice: (w).